(1)
NbH14C4NO14, optimized geometry, DFT PBE-GGA; calculated formation energy = -1416 meV/atom; symmetry = P2_1/c (14)
1.0
6.6436 0.0000 0.0000
0.0000 16.4853 0.0000
-6.0565 0.0000 12.4243
Nb H C N O
4 56 16 4 56
direct
0.0097 0.1101 0.2988
0.0097 0.3899 0.7988
0.9903 0.6101 0.2012
0.9903 0.8899 0.7012
0.0194 0.5544 0.7387
0.0194 0.9456 0.2387
0.0516 0.1797 0.8565
0.0516 0.3203 0.3565
0.1734 0.5469 0.8714
0.1734 0.9531 0.3714
0.1931 0.0911 0.1020
0.1931 0.4089 0.6020
0.2027 0.1087 0.9239
0.2027 0.3913 0.4239
0.2958 0.0132 0.0728
0.2958 0.4868 0.5728
0.3139 0.5066 0.1754
0.3139 0.9934 0.6754
0.3629 0.7351 0.7180
0.3629 0.7649 0.2180
0.3636 0.5856 0.0501
0.3636 0.9144 0.5501
0.3646 0.6565 0.9739
0.3646 0.8435 0.4739
0.3983 0.1795 0.7298
0.3983 0.3205 0.2298
0.4125 0.2329 0.2980
0.4125 0.2671 0.7980
0.4455 0.6829 0.6357
0.4455 0.8171 0.1357
0.4637 0.5654 0.2748
0.4637 0.9346 0.7748
0.5363 0.0654 0.2252
0.5363 0.4346 0.7252
0.5545 0.1829 0.8643
0.5545 0.3171 0.3643
0.5875 0.7329 0.2020
0.5875 0.7671 0.7020
0.6017 0.6795 0.7702
0.6017 0.8205 0.2702
0.6354 0.1565 0.5261
0.6354 0.3435 0.0261
0.6364 0.0856 0.4499
0.6364 0.4144 0.9499
0.6371 0.2351 0.7820
0.6371 0.2649 0.2820
0.6861 0.0066 0.3246
0.6861 0.4934 0.8246
0.7042 0.5132 0.4272
0.7042 0.9868 0.9272
0.7973 0.6087 0.5761
0.7973 0.8913 0.0761
0.8069 0.5911 0.3980
0.8069 0.9089 0.8980
0.8266 0.0469 0.6286
0.8266 0.4531 0.1286
0.9484 0.6797 0.6435
0.9484 0.8203 0.1435
0.9806 0.0544 0.7613
0.9806 0.4456 0.2613
0.0798 0.2015 0.5017
0.0798 0.2985 0.0017
0.1784 0.1161 0.5389
0.1784 0.3839 0.0389
0.2582 0.6095 0.4438
0.2582 0.8905 0.9438
0.3197 0.6903 0.4074
0.3197 0.8097 0.9074
0.6803 0.1903 0.0926
0.6803 0.3097 0.5926
0.7418 0.1095 0.0562
0.7418 0.3905 0.5562
0.8216 0.6161 0.9611
0.8216 0.8839 0.4611
0.9202 0.7015 0.9983
0.9202 0.7985 0.4983
0.4983 0.7161 0.7062
0.4983 0.7839 0.2062
0.5017 0.2161 0.7938
0.5017 0.2839 0.2938
0.0176 0.7076 0.1040
0.0176 0.7924 0.6040
0.0939 0.2439 0.0651
0.0939 0.2561 0.5651
0.0959 0.5159 0.8012
0.0959 0.9841 0.3012
0.1054 0.1255 0.8501
0.1054 0.3745 0.3501
0.1203 0.5657 0.3647
0.1203 0.9343 0.8647
0.1449 0.0671 0.4602
0.1449 0.4329 0.9602
0.2221 0.6991 0.3031
0.2221 0.8009 0.8031
0.2586 0.1484 0.3006
0.2586 0.3516 0.8006
0.2811 0.0974 0.6356
0.2811 0.4026 0.1356
0.2937 0.6042 0.9756
0.2937 0.8958 0.4756
0.3250 0.0709 0.0955
0.3250 0.4291 0.5955
0.3247 0.5625 0.2045
0.3247 0.9375 0.7045
0.3338 0.5905 0.5405
0.3338 0.9095 0.0405
0.4471 0.7398 0.4728
0.4471 0.7602 0.9728
0.5529 0.2398 0.0272
0.5529 0.2602 0.5272
0.6662 0.0905 0.9595
0.6662 0.4095 0.4595
0.6753 0.0625 0.2955
0.6753 0.4375 0.7955
0.6750 0.5709 0.4045
0.6750 0.9291 0.9045
0.7063 0.1042 0.5244
0.7063 0.3958 0.0244
0.7189 0.5974 0.8644
0.7189 0.9026 0.3644
0.7414 0.6484 0.1994
0.7414 0.8516 0.6994
0.7779 0.1991 0.1969
0.7779 0.3009 0.6969
0.8551 0.5671 0.0398
0.8551 0.9329 0.5398
0.8797 0.0657 0.1353
0.8797 0.4343 0.6353
0.8946 0.6255 0.6499
0.8946 0.8745 0.1499
0.9041 0.0159 0.6988
0.9041 0.4841 0.1988
0.9061 0.7439 0.4349
0.9061 0.7561 0.9349
0.9824 0.2076 0.3960
0.9824 0.2924 0.8960

(2)
NiH12C2S2N6, optimized geometry, DFT PBE-GGA; calculated formation energy = -348 meV/atom; symmetry = C2/m (12)
1.0
5.7788 -4.1340 0.0000
5.7788 4.1340 0.0000
-1.5434 0.0000 5.5095
Ni H C S N
1 12 2 2 6
direct
0.0000 0.0000 0.0000
0.0034 0.7146 0.2505
0.1309 0.6084 0.0233
0.2379 0.7211 0.2755
0.2789 0.7621 0.7245
0.2854 0.9966 0.7495
0.3916 0.8691 0.9767
0.6084 0.1309 0.0233
0.7146 0.0034 0.2505
0.7211 0.2379 0.2755
0.7621 0.2789 0.7245
0.8691 0.3916 0.9767
0.9966 0.2854 0.7495
0.2361 0.2361 0.4530
0.7639 0.7639 0.5470
0.3562 0.3562 0.6828
0.6438 0.6438 0.3172
0.1044 0.7305 0.1587
0.1468 0.1468 0.2915
0.2695 0.8956 0.8413
0.7305 0.1044 0.1587
0.8532 0.8532 0.7085
0.8956 0.2695 0.8413

(3)
NpH16C3N4O11, optimized geometry, DFT PBE-GGA; calculated formation energy = -1277 meV/atom; symmetry = C2/c (15)
1.0
5.6375 -4.6460 0.0000
5.6375 4.6460 0.0000
-0.7546 0.0000 13.0052
Np H C N O
2 32 6 8 22
direct
0.1927 0.8073 0.7500
0.8073 0.1927 0.2500
0.0419 0.4723 0.8607
0.0568 0.2608 0.9108
0.0642 0.2736 0.7815
0.0891 0.6569 0.4608
0.1352 0.6468 0.1660
0.1984 0.4368 0.4898
0.2608 0.0568 0.4108
0.2736 0.0642 0.2815
0.2895 0.5510 0.4005
0.2956 0.6214 0.5264
0.3431 0.9109 0.0392
0.3532 0.8648 0.3340
0.3786 0.7044 0.9736
0.4368 0.1984 0.9898
0.4490 0.7104 0.0995
0.4723 0.0419 0.3607
0.5277 0.9581 0.6393
0.5510 0.2895 0.9005
0.5632 0.8016 0.0102
0.6214 0.2956 0.0264
0.6468 0.1352 0.6660
0.6569 0.0891 0.9608
0.7044 0.3786 0.4736
0.7104 0.4490 0.5995
0.7264 0.9358 0.7185
0.7392 0.9432 0.5892
0.8016 0.5632 0.5102
0.8648 0.3532 0.8340
0.9109 0.3431 0.5392
0.9358 0.7264 0.2185
0.9432 0.7392 0.0892
0.9581 0.5277 0.1393
0.0811 0.1565 0.0922
0.1565 0.0811 0.5922
0.4963 0.5037 0.2500
0.5037 0.4963 0.7500
0.8435 0.9189 0.4078
0.9189 0.8435 0.9078
0.0077 0.3411 0.8476
0.2190 0.5662 0.4685
0.3411 0.0077 0.3476
0.4338 0.7810 0.0315
0.5662 0.2190 0.9685
0.6589 0.9923 0.6524
0.7810 0.4338 0.5315
0.9923 0.6589 0.1524
0.0439 0.0992 0.6683
0.0511 0.6625 0.6785
0.0683 0.7117 0.9078
0.0992 0.0439 0.1683
0.1380 0.1991 0.5213
0.1991 0.1380 0.0213
0.2883 0.9317 0.5922
0.3375 0.9489 0.8215
0.3587 0.6413 0.2500
0.3950 0.5368 0.8282
0.4632 0.6050 0.6718
0.5368 0.3950 0.3282
0.6050 0.4632 0.1718
0.6413 0.3587 0.7500
0.6625 0.0511 0.1785
0.7117 0.0683 0.4078
0.8009 0.8620 0.9787
0.8620 0.8009 0.4787
0.9008 0.9561 0.8317
0.9317 0.2883 0.0922
0.9489 0.3375 0.3215
0.9561 0.9008 0.3317

> Which of these has the highest calculated formation energy?

NiH12C2S2N6